No. 1
First-principles (PBE) data for an optimized crystal structure of Mo2WS6, as listed in the Materials Project database.

Lattice parameters (Å, degrees): 3.1878 3.1878 29.1087 90.00 90.00 120.00
Last column: nearest neighbours and their distance in Å.
Fractional coordinates of all 9 atoms:
Mo (0.3333, 0.6667, 0.7687)  6 S 2.42
Mo (0.3333, 0.6667, 0.2313)  6 S 2.42
W (0.6667, 0.3333, 0.0000)  6 S 2.42
S (0.3333, 0.6667, 0.0541)  3 W 2.42
S (0.6667, 0.3333, 0.7148)  3 Mo 2.42
S (0.6667, 0.3333, 0.1775)  3 Mo 2.42
S (0.6667, 0.3333, 0.8225)  3 Mo 2.42
S (0.6667, 0.3333, 0.2852)  3 Mo 2.42
S (0.3333, 0.6667, 0.9459)  3 W 2.42

The calculation puts the energy of formation from the pure elements at -1184 meV per atom. The uncorrected energy is -7.4558 eV/atom. The space group is P-6m2.

No. 2
First-principles (PBE) data for an optimized crystal structure of Mn2GaCo4Ge, as listed in the Materials Project database.

Lattice parameters (Å, degrees): 7.0168 7.0168 7.0168 33.55 33.55 33.55
Last column: nearest neighbours and their distance in Å.
Fractional coordinates of all 8 atoms:
Mn (0.2510, 0.2510, 0.2510)  8 Co 2.47-2.49
Mn (0.7490, 0.7490, 0.7490)  8 Co 2.47-2.49
Ga (0.0000, 0.0000, 0.0000)  8 Co 2.49-2.50
Co (0.3759, 0.3759, 0.3759)  1 Ge 2.46, 4 Mn 2.47-2.48, 3 Ga 2.49
Co (0.8742, 0.8742, 0.8742)  3 Ge 2.47, 4 Mn 2.49, 1 Ga 2.50
Co (0.6241, 0.6241, 0.6241)  1 Ge 2.46, 4 Mn 2.47-2.48, 3 Ga 2.49
Co (0.1258, 0.1258, 0.1258)  3 Ge 2.47, 4 Mn 2.49, 1 Ga 2.50
Ge (0.5000, 0.5000, 0.5000)  8 Co 2.46-2.47

The calculation puts the energy of formation from the pure elements at -262 meV per atom. The uncorrected energy is -7.0633 eV/atom. The space group is R-3m. As for the size of the total moment: 9.03 μB per cell.